{"formula": "Li9Mn7O16", "functional": "PBE with a Hubbard U", "state": "relaxed", "lattice_angstrom": [[5.9946, 0.0000, 0.0000], [2.5019, 7.2543, 0.0000], [2.5542, 2.6944, 6.8264]], "species": ["Li", "Li", "Li", "Li", "Li", "Li", "Li", "Li", "Li", "Mn", "Mn", "Mn", "Mn", "Mn", "Mn", "Mn", "O", "O", "O", "O", "O", "O", "O", "O", "O", "O", "O", "O", "O", "O", "O", "O"], "fractional_positions": [[0.0000, 0.0000, 0.0000], [0.0000, 0.5000, 0.5000], [0.1218, 0.3751, 0.8635], [0.2522, 0.7498, 0.7487], [0.3668, 0.1322, 0.6227], [0.5000, 0.5000, 0.5000], [0.6332, 0.8678, 0.3773], [0.7478, 0.2502, 0.2513], [0.8782, 0.6249, 0.1365], [0.1193, 0.8740, 0.3745], [0.2428, 0.2522, 0.2540], [0.3685, 0.6224, 0.1317], [0.5000, 0.0000, 0.0000], [0.6315, 0.3776, 0.8683], [0.7572, 0.7478, 0.7460], [0.8807, 0.1260, 0.6255], [0.0084, 0.7640, 0.2499], [0.0858, 0.6509, 0.6265], [0.1269, 0.1245, 0.1410], [0.2471, 0.4943, 0.0247], [0.2555, 0.0055, 0.4763], [0.3781, 0.3753, 0.3575], [0.4155, 0.8582, 0.8782], [0.4948, 0.2497, 0.7671], [0.5052, 0.7503, 0.2329], [0.5845, 0.1418, 0.1218], [0.6219, 0.6247, 0.6425], [0.7445, 0.9945, 0.5237], [0.7529, 0.5057, 0.9753], [0.8731, 0.8755, 0.8590], [0.9142, 0.3491, 0.3735], [0.9916, 0.2360, 0.7501]], "spacegroup": "P-1, No. 2", "de_polymorph_ev_per_atom": 0.007, "crystal_system": "triclinic", "magmom_total_mub_per_cell": 26.00}


{"formula": "Dy2MnGe4O12", "functional": "PBE with a Hubbard U", "state": "relaxed", "lattice_angstrom": [[7.0515, -7.1329, 0.0000], [7.0515, 7.1329, 0.0000], [0.0000, 0.0000, 5.0336]], "species": ["Dy", "Dy", "Dy", "Dy", "Mn", "Mn", "Ge", "Ge", "Ge", "Ge", "Ge", "Ge", "Ge", "Ge", "O", "O", "O", "O", "O", "O", "O", "O", "O", "O", "O", "O", "O", "O", "O", "O", "O", "O", "O", "O", "O", "O", "O", "O"], "fractional_positions": [[0.0000, 0.5000, 0.0000], [0.2500, 0.2500, 0.0000], [0.5000, 0.0000, 0.0000], [0.7500, 0.7500, 0.0000], [0.0000, 0.0000, 0.0000], [0.5000, 0.5000, 0.0000], [0.0214, 0.7534, 0.5044], [0.2466, 0.9786, 0.5044], [0.2534, 0.5214, 0.5044], [0.4786, 0.7466, 0.5044], [0.5214, 0.2534, 0.4956], [0.7466, 0.4786, 0.4956], [0.7534, 0.0214, 0.4956], [0.9786, 0.2466, 0.4956], [0.0635, 0.1685, 0.2389], [0.0631, 0.3294, 0.7519], [0.1270, 0.6270, 0.6680], [0.1306, 0.8694, 0.3332], [0.1685, 0.0635, 0.7611], [0.1706, 0.4369, 0.2481], [0.3294, 0.0631, 0.2481], [0.3315, 0.4365, 0.7611], [0.3694, 0.6306, 0.3332], [0.3730, 0.8730, 0.6680], [0.4369, 0.1706, 0.7519], [0.4365, 0.3315, 0.2389], [0.5635, 0.6685, 0.7611], [0.5631, 0.8294, 0.2481], [0.6270, 0.1270, 0.3320], [0.6306, 0.3694, 0.6668], [0.6685, 0.5635, 0.2389], [0.6706, 0.9369, 0.7519], [0.8294, 0.5631, 0.7519], [0.8315, 0.9365, 0.2389], [0.8694, 0.1306, 0.6668], [0.8730, 0.3730, 0.3320], [0.9369, 0.6706, 0.2481], [0.9365, 0.8315, 0.7611]], "spacegroup": "Cmme, No. 67", "crystal_system": "orthorhombic", "magmom_total_mub_per_cell": 10.00}


{"formula": "MgCo3NiO8", "functional": "PBE with a Hubbard U", "state": "relaxed", "lattice_angstrom": [[5.7244, 0.0000, 0.0000], [-2.7200, 5.0764, 0.0000], [-0.2198, -3.2448, 4.7584]], "species": ["Mg", "Co", "Co", "Co", "Ni", "O", "O", "O", "O", "O", "O", "O", "O"], "fractional_positions": [[0.0000, 0.0000, 0.0000], [0.0000, 0.0000, 0.5000], [0.0000, 0.5000, 0.5000], [0.5000, 0.0000, 0.5000], [0.0000, 0.5000, 0.0000], [0.1935, 0.4495, 0.7270], [0.2140, 0.4999, 0.2565], [0.2165, 0.9545, 0.7158], [0.2356, 0.9989, 0.2817], [0.7644, 0.0011, 0.7183], [0.7835, 0.0455, 0.2842], [0.7860, 0.5001, 0.7435], [0.8065, 0.5505, 0.2730]], "spacegroup": "P-1, No. 2", "de_polymorph_ev_per_atom": 0.070, "crystal_system": "triclinic", "magmom_total_mub_per_cell": 6.99}


{"formula": "Li2V3SnO8", "functional": "PBE with a Hubbard U", "state": "relaxed", "lattice_angstrom": [[8.5688, 0.0000, 0.0000], [0.0000, 8.5853, 0.0000], [0.0000, 0.0000, 8.5889]], "species": ["Li", "Li", "Li", "Li", "Li", "Li", "Li", "Li", "V", "V", "V", "V", "V", "V", "V", "V", "V", "V", "V", "V", "Sn", "Sn", "Sn", "Sn", "O", "O", "O", "O", "O", "O", "O", "O", "O", "O", "O", "O", "O", "O", "O", "O", "O", "O", "O", "O", "O", "O", "O", "O", "O", "O", "O", "O", "O", "O", "O", "O"], "fractional_positions": [[0.0014, 0.0032, 0.4981], [0.1254, 0.6253, 0.6256], [0.3746, 0.3747, 0.1256], [0.4986, 0.9968, 0.9981], [0.5014, 0.4968, 0.5019], [0.6254, 0.8747, 0.3744], [0.8746, 0.1253, 0.8744], [0.9986, 0.5032, 0.0019], [0.1255, 0.8690, 0.8676], [0.1356, 0.1413, 0.1284], [0.1367, 0.3744, 0.3724], [0.3633, 0.6256, 0.8724], [0.3644, 0.8587, 0.6284], [0.3745, 0.1310, 0.3676], [0.6255, 0.6310, 0.1324], [0.6356, 0.3587, 0.8716], [0.6367, 0.1256, 0.6276], [0.8633, 0.8744, 0.1276], [0.8644, 0.6413, 0.3716], [0.8745, 0.3690, 0.6324], [0.2454, 0.7530, 0.2488], [0.2546, 0.2470, 0.7488], [0.7454, 0.7470, 0.7512], [0.7546, 0.2530, 0.2512], [0.1091, 0.6160, 0.3776], [0.1102, 0.8906, 0.1135], [0.1167, 0.3786, 0.6157], [0.1190, 0.3531, 0.1374], [0.1245, 0.1154, 0.8904], [0.1360, 0.1349, 0.3561], [0.1389, 0.6426, 0.8752], [0.1502, 0.8819, 0.6351], [0.3498, 0.1181, 0.1351], [0.3611, 0.3574, 0.3752], [0.3640, 0.8651, 0.8561], [0.3755, 0.8846, 0.3904], [0.3810, 0.6469, 0.6374], [0.3833, 0.6214, 0.1157], [0.3898, 0.1094, 0.6135], [0.3909, 0.3840, 0.8776], [0.6091, 0.8840, 0.6224], [0.6102, 0.6094, 0.8865], [0.6167, 0.1214, 0.3843], [0.6190, 0.1469, 0.8626], [0.6245, 0.3846, 0.1096], [0.6360, 0.3651, 0.6439], [0.6389, 0.8574, 0.1248], [0.6502, 0.6181, 0.3649], [0.8498, 0.3819, 0.8649], [0.8611, 0.1426, 0.6248], [0.8640, 0.6349, 0.1439], [0.8755, 0.6154, 0.6096], [0.8810, 0.8531, 0.3626], [0.8833, 0.8786, 0.8843], [0.8898, 0.3906, 0.3865], [0.8909, 0.1160, 0.1224]], "spacegroup": "P2_12_12_1, No. 19", "de_polymorph_ev_per_atom": 0.055, "crystal_system": "orthorhombic", "magmom_total_mub_per_cell": 20.00}


{"formula": "CoRe2O8", "functional": "PBE with a Hubbard U", "state": "relaxed", "lattice_angstrom": [[5.7952, 0.0000, 0.0000], [0.0283, 6.6842, 0.0000], [0.0281, 0.0197, 10.0397]], "species": ["Co", "Co", "Re", "Re", "Re", "Re", "O", "O", "O", "O", "O", "O", "O", "O", "O", "O", "O", "O", "O", "O", "O", "O"], "fractional_positions": [[0.0000, 0.0000, 0.0000], [0.5000, 0.0000, 0.5000], [0.0012, 0.7331, 0.6678], [0.4981, 0.2672, 0.8320], [0.5019, 0.7328, 0.1680], [0.9988, 0.2669, 0.3322], [0.0005, 0.4736, 0.6660], [0.0096, 0.8174, 0.8334], [0.2448, 0.8215, 0.5814], [0.2499, 0.1760, 0.4097], [0.2499, 0.8235, 0.0912], [0.2544, 0.1803, 0.9190], [0.4888, 0.1822, 0.6666], [0.5005, 0.4733, 0.1666], [0.4995, 0.5267, 0.8334], [0.5112, 0.8178, 0.3334], [0.7456, 0.8197, 0.0810], [0.7501, 0.1765, 0.9088], [0.7501, 0.8240, 0.5903], [0.7552, 0.1785, 0.4186], [0.9904, 0.1826, 0.1666], [0.9995, 0.5264, 0.3340]], "spacegroup": "P-1, No. 2", "crystal_system": "triclinic"}


{"formula": "Na3NiO3", "functional": "PBE with a Hubbard U", "state": "relaxed", "lattice_angstrom": [[9.1863, 0.0000, 0.0000], [0.0000, 9.1863, 0.0000], [0.0000, 0.0000, 4.4545]], "species": ["Na", "Na", "Na", "Na", "Na", "Na", "Na", "Na", "Na", "Na", "Na", "Na", "Ni", "Ni", "Ni", "Ni", "O", "O", "O", "O", "O", "O", "O", "O", "O", "O", "O", "O"], "fractional_positions": [[0.1266, 0.3705, 0.0000], [0.1295, 0.6266, 0.5000], [0.1490, 0.8510, 0.0000], [0.3510, 0.3510, 0.5000], [0.3705, 0.1266, 0.0000], [0.3734, 0.8705, 0.5000], [0.6266, 0.1295, 0.5000], [0.6295, 0.8734, 0.0000], [0.6490, 0.6490, 0.5000], [0.8510, 0.1490, 0.0000], [0.8705, 0.3734, 0.5000], [0.8734, 0.6295, 0.0000], [0.1089, 0.1089, 0.5000], [0.3911, 0.6089, 0.0000], [0.6089, 0.3911, 0.0000], [0.8911, 0.8911, 0.5000], [0.0932, 0.9068, 0.5000], [0.1054, 0.3076, 0.5000], [0.1924, 0.6054, 0.0000], [0.3076, 0.1054, 0.5000], [0.3946, 0.8076, 0.0000], [0.4068, 0.4068, 0.0000], [0.5932, 0.5932, 0.0000], [0.6054, 0.1924, 0.0000], [0.6924, 0.8946, 0.5000], [0.8076, 0.3946, 0.0000], [0.8946, 0.6924, 0.5000], [0.9068, 0.0932, 0.5000]], "spacegroup": "P4_2/mnm, No. 136", "de_polymorph_ev_per_atom": 0.106, "crystal_system": "tetragonal", "magmom_total_mub_per_cell": 4.00}


{"formula": "Li9Mn2Co5O16", "functional": "PBE with a Hubbard U", "state": "relaxed", "lattice_angstrom": [[9.7633, 0.0000, 0.0000], [0.0000, 2.9288, 0.0000], [-1.8320, 0.0000, 10.0657]], "species": ["Li", "Li", "Li", "Li", "Li", "Li", "Li", "Li", "Li", "Mn", "Mn", "Co", "Co", "Co", "Co", "Co", "O", "O", "O", "O", "O", "O", "O", "O", "O", "O", "O", "O", "O", "O", "O", "O"], "fractional_positions": [[0.0000, 0.0000, 0.0000], [0.0000, 0.0000, 0.5000], [0.2521, 0.5000, 0.1269], [0.2564, 0.5000, 0.6224], [0.4948, 0.0000, 0.7409], [0.5000, 0.5000, 0.5000], [0.5052, 0.0000, 0.2591], [0.7436, 0.5000, 0.3776], [0.7479, 0.5000, 0.8731], [0.2579, 0.0000, 0.3824], [0.7421, 0.0000, 0.6176], [0.0012, 0.5000, 0.2493], [0.2493, 0.0000, 0.8749], [0.5000, 0.5000, 0.0000], [0.7507, 0.0000, 0.1251], [0.9988, 0.5000, 0.7507], [0.1148, 0.0000, 0.6957], [0.1247, 0.0000, 0.2022], [0.1297, 0.5000, 0.9307], [0.1366, 0.5000, 0.4284], [0.3601, 0.5000, 0.3190], [0.3630, 0.0000, 0.5484], [0.3674, 0.5000, 0.8195], [0.3821, 0.0000, 0.0553], [0.6179, 0.0000, 0.9447], [0.6326, 0.5000, 0.1805], [0.6370, 0.0000, 0.4516], [0.6399, 0.5000, 0.6810], [0.8634, 0.5000, 0.5716], [0.8703, 0.5000, 0.0693], [0.8753, 0.0000, 0.7978], [0.8852, 0.0000, 0.3043]], "spacegroup": "P2/m, No. 10", "de_polymorph_ev_per_atom": 0.016, "crystal_system": "monoclinic", "magmom_total_mub_per_cell": 6.00}


{"formula": "TbCr2O2", "functional": "PBE with a Hubbard U", "state": "relaxed", "lattice_angstrom": [[-4.3872, 4.3872, 4.9139], [4.3872, -4.3872, 4.9139], [4.3872, 4.3872, -4.9139]], "species": ["Tb", "Tb", "Tb", "Tb", "Cr", "Cr", "Cr", "Cr", "Cr", "Cr", "Cr", "Cr", "O", "O", "O", "O", "O", "O", "O", "O"], "fractional_positions": [[0.0000, 0.0000, 0.0000], [0.0000, 0.0000, 0.5000], [0.0000, 0.5000, 0.0000], [0.5000, 0.0000, 0.5000], [0.0838, 0.6377, 0.4461], [0.3085, 0.3623, 0.9461], [0.3623, 0.3085, 0.4461], [0.3623, 0.9162, 0.0539], [0.6377, 0.0838, 0.9461], [0.6377, 0.6915, 0.5539], [0.6915, 0.6377, 0.0539], [0.9162, 0.3623, 0.5539], [0.2047, 0.2958, 0.5911], [0.2047, 0.6137, 0.9089], [0.2958, 0.2047, 0.0911], [0.3863, 0.7953, 0.5911], [0.6137, 0.2047, 0.4089], [0.7042, 0.7953, 0.9089], [0.7953, 0.3863, 0.0911], [0.7953, 0.7042, 0.4089]], "spacegroup": "I4_1/amd, No. 141", "crystal_system": "tetragonal", "magmom_total_mub_per_cell": 36.05}


{"formula": "Li2Mn3F8", "functional": "PBE with a Hubbard U", "state": "relaxed", "lattice_angstrom": [[5.4495, 0.0000, 0.0000], [0.0000, 9.5092, 0.0000], [0.0000, 0.0000, 6.5508]], "species": ["Li", "Li", "Li", "Li", "Mn", "Mn", "Mn", "Mn", "Mn", "Mn", "F", "F", "F", "F", "F", "F", "F", "F", "F", "F", "F", "F", "F", "F", "F", "F"], "fractional_positions": [[0.0155, 0.1816, 0.0000], [0.4845, 0.6816, 0.5000], [0.5155, 0.3184, 0.5000], [0.9845, 0.8184, 0.0000], [0.0000, 0.0000, 0.5000], [0.0000, 0.5000, 0.2647], [0.0000, 0.5000, 0.7353], [0.5000, 0.0000, 0.2353], [0.5000, 0.0000, 0.7647], [0.5000, 0.5000, 0.0000], [0.1478, 0.3814, 0.0000], [0.1680, 0.1139, 0.2555], [0.1680, 0.1139, 0.7445], [0.1757, 0.3845, 0.5000], [0.3243, 0.8845, 0.0000], [0.3320, 0.6139, 0.2445], [0.3320, 0.6139, 0.7555], [0.3522, 0.8814, 0.5000], [0.6478, 0.1186, 0.5000], [0.6680, 0.3861, 0.2445], [0.6680, 0.3861, 0.7555], [0.6757, 0.1155, 0.0000], [0.8243, 0.6155, 0.5000], [0.8320, 0.8861, 0.2555], [0.8320, 0.8861, 0.7445], [0.8522, 0.6186, 0.0000]], "spacegroup": "Pnnm, No. 58", "de_polymorph_ev_per_atom": 0.034, "crystal_system": "orthorhombic", "magmom_total_mub_per_cell": 30.00}


{"formula": "MgMnV3O8", "functional": "PBE with a Hubbard U", "state": "relaxed", "lattice_angstrom": [[5.3859, 0.0000, 0.0000], [0.1081, 5.8802, 0.0000], [0.0539, 0.2767, 6.6971]], "species": ["Mg", "Mn", "V", "V", "V", "O", "O", "O", "O", "O", "O", "O", "O"], "fractional_positions": [[0.0000, 0.0000, 0.0000], [0.9914, 0.5052, 0.7172], [0.4869, 0.3212, 0.9971], [0.4920, 0.8202, 0.2609], [0.9875, 0.0001, 0.5075], [0.0265, 0.2903, 0.4966], [0.0604, 0.8405, 0.7467], [0.1429, 0.8985, 0.2650], [0.1666, 0.2980, 0.9459], [0.5318, 0.5115, 0.1850], [0.6276, 0.4315, 0.7908], [0.6323, 0.0448, 0.0559], [0.6658, 0.9084, 0.4779]], "spacegroup": "P1, No. 1", "de_polymorph_ev_per_atom": 0.012, "crystal_system": "triclinic", "magmom_total_mub_per_cell": 8.00}


{"formula": "Li11Fe5O2F22", "functional": "PBE with a Hubbard U", "state": "relaxed", "lattice_angstrom": [[5.1620, 0.0000, 0.0000], [-0.0656, 8.7655, 0.0000], [-0.0995, -0.0677, 9.5627]], "species": ["Li", "Li", "Li", "Li", "Li", "Li", "Li", "Li", "Li", "Li", "Li", "Fe", "Fe", "Fe", "Fe", "Fe", "O", "O", "F", "F", "F", "F", "F", "F", "F", "F", "F", "F", "F", "F", "F", "F", "F", "F", "F", "F", "F", "F", "F", "F"], "fractional_positions": [[0.0000, 0.0000, 0.0000], [0.0014, 0.6929, 0.2290], [0.3735, 0.6694, 0.5115], [0.3764, 0.9909, 0.7275], [0.3809, 0.9877, 0.3069], [0.4816, 0.4762, 0.8088], [0.5053, 0.1745, 0.0019], [0.8765, 0.4892, 0.5043], [0.8833, 0.1862, 0.3057], [0.8899, 0.1854, 0.7220], [0.9752, 0.6821, 0.8027], [0.0222, 0.3490, 0.0002], [0.3958, 0.3073, 0.5041], [0.5029, 0.8186, 0.0010], [0.5040, 0.4705, 0.2308], [0.8687, 0.8541, 0.5028], [0.3307, 0.3446, 0.1053], [0.6627, 0.3507, 0.3724], [0.0249, 0.6793, 0.6051], [0.0357, 0.9954, 0.6286], [0.0709, 0.3327, 0.6037], [0.1356, 0.5033, 0.8680], [0.1587, 0.1720, 0.8810], [0.1705, 0.8254, 0.3801], [0.1939, 0.8415, 0.8810], [0.2198, 0.1634, 0.3792], [0.2221, 0.5035, 0.3779], [0.3436, 0.9865, 0.1092], [0.3557, 0.6706, 0.1379], [0.5322, 0.4901, 0.6133], [0.5464, 0.1640, 0.6313], [0.5571, 0.8346, 0.6098], [0.6357, 0.6638, 0.8789], [0.6503, 0.9877, 0.8874], [0.7091, 0.3208, 0.8766], [0.7107, 0.6774, 0.3805], [0.7260, 0.9993, 0.3739], [0.8223, 0.8341, 0.1057], [0.8405, 0.5067, 0.1275], [0.8481, 0.1790, 0.1059]], "spacegroup": "P1, No. 1", "crystal_system": "triclinic", "magmom_total_mub_per_cell": 25.00}


{"formula": "Mg2CrWO6", "functional": "PBE with a Hubbard U", "state": "relaxed", "lattice_angstrom": [[-4.8024, -1.9655, 0.4659], [-3.3708, 6.9025, -4.5947], [-2.3619, -2.1627, -4.5236]], "species": ["Mg", "Mg", "Mg", "Mg", "Cr", "Cr", "W", "W", "O", "O", "O", "O", "O", "O", "O", "O", "O", "O", "O", "O"], "fractional_positions": [[0.4133, 0.1428, 0.1470], [0.9137, 0.6430, 0.1462], [0.1679, 0.3963, 0.6449], [0.6678, 0.8965, 0.6449], [0.2297, 0.7483, 0.5250], [0.7298, 0.2486, 0.5250], [0.9792, 0.9981, 0.0261], [0.4792, 0.4980, 0.0260], [0.8979, 0.1845, 0.8070], [0.3978, 0.6844, 0.8066], [0.4193, 0.0542, 0.8129], [0.9194, 0.5539, 0.8129], [0.4524, 0.3580, 0.8084], [0.9523, 0.8577, 0.8084], [0.5069, 0.3070, 0.3031], [0.0072, 0.8070, 0.3026], [0.9734, 0.1058, 0.3099], [0.4736, 0.6055, 0.3097], [0.0350, 0.4398, 0.3128], [0.5351, 0.9395, 0.3129]], "de_polymorph_ev_per_atom": 0.000, "magmom_total_mub_per_cell": 0.00}


Number 1: VASP energy -0.474 Ry per atom. Number 2: VASP energy -0.530 Ry per atom. Number 3: VASP energy -0.410 Ry per atom. Number 4: VASP energy -0.511 Ry per atom. Number 5: VASP energy -0.580 Ry per atom. Number 6: VASP energy -0.305 Ry per atom. Number 7: VASP energy -0.429 Ry per atom. Number 8: VASP energy -0.498 Ry per atom. Number 9: VASP energy -0.433 Ry per atom. Number 10: VASP energy -0.543 Ry per atom. Number 11: VASP energy -0.379 Ry per atom. Number 12: VASP energy -0.519 Ry per atom.